Record 1
# Li3ScF6

Crystalline Li3ScF6 at its relaxed geometry (r2SCAN, the Materials Project).

## Properties
For the total energy, the calculation gives -7.33 eV per atom. The space group is P-3c1 (165).

a = 8.701 Å, b = 8.701 Å, c = 9.352 Å
α = 90.00°, β = 90.00°, γ = 120.00°
Positions (direct):
Li 0.342 0.357 0.967
Li 0.696 0.000 0.250
Li 0.696 0.696 0.750
Li 0.985 0.643 0.533
Li 0.658 0.643 0.033
Li 0.342 0.985 0.467
Li 0.643 0.658 0.467
Li 0.304 0.304 0.250
Li 0.000 0.696 0.250
Li 0.304 0.000 0.750
Li 0.015 0.357 0.467
Li 0.357 0.015 0.033
Li 0.015 0.658 0.967
Li 0.658 0.015 0.533
Li 0.985 0.342 0.033
Li 0.643 0.985 0.967
Li 0.000 0.304 0.750
Li 0.357 0.342 0.533
Sc 0.667 0.333 0.259
Sc 0.667 0.333 0.759
Sc 0.000 0.000 0.000
Sc 0.333 0.667 0.241
Sc 0.000 0.000 0.500
Sc 0.333 0.667 0.741
F 0.880 0.770 0.890
F 0.787 0.556 0.137
F 0.444 0.231 0.137
F 0.120 0.890 0.610
F 0.787 0.231 0.637
F 0.880 0.110 0.390
F 0.556 0.769 0.863
F 0.770 0.890 0.110
F 0.570 0.108 0.379
F 0.890 0.120 0.890
F 0.110 0.230 0.610
F 0.769 0.213 0.137
F 0.539 0.108 0.879
F 0.213 0.769 0.363
F 0.892 0.461 0.379
F 0.110 0.880 0.110
F 0.770 0.880 0.610
F 0.444 0.213 0.637
F 0.230 0.119 0.390
F 0.430 0.892 0.621
F 0.230 0.110 0.890
F 0.119 0.230 0.110
F 0.461 0.892 0.121
F 0.892 0.430 0.879
F 0.769 0.556 0.637
F 0.231 0.444 0.363
F 0.108 0.570 0.121
F 0.231 0.787 0.863
F 0.213 0.444 0.863
F 0.108 0.539 0.621
F 0.890 0.770 0.390
F 0.570 0.461 0.879
F 0.539 0.430 0.379
F 0.461 0.570 0.621
F 0.430 0.539 0.121
F 0.556 0.787 0.363

Record 2
# Sm2CdPd2

Crystalline Sm2CdPd2 at its relaxed geometry (r2SCAN, the Materials Project).

## Properties
For the total energy, the calculation gives -25.89 eV per atom. The space group is P4/mbm (127).

a = 3.808 Å, b = 7.761 Å, c = 7.761 Å
α = 90.00°, β = 90.00°, γ = 90.00°
Positions (direct):
Sm 0.500 0.826 0.326
Sm 0.500 0.674 0.826
Sm 0.500 0.326 0.174
Sm 0.500 0.174 0.674
Cd 0.000 0.000 0.000
Cd 0.000 0.500 0.500
Pd 0.000 0.127 0.373
Pd 0.000 0.373 0.873
Pd 0.000 0.627 0.127
Pd 0.000 0.873 0.627

Record 3
# Mn

Crystalline Mn at its relaxed geometry (r2SCAN, the Materials Project).

## Properties
For the total energy, the calculation gives -14.64 eV per atom. The space group is P4_132 (213). Its excess energy over the best structure of this formula in the dataset is 0.040 eV/atom.

a = 6.706 Å, b = 6.705 Å, c = 6.706 Å
α = 89.99°, β = 89.99°, γ = 90.01°
Positions (direct):
Mn 0.054 0.054 0.054
Mn 0.304 0.196 0.804
Mn 0.804 0.304 0.196
Mn 0.196 0.804 0.304
Mn 0.446 0.946 0.554
Mn 0.554 0.446 0.946
Mn 0.946 0.554 0.446
Mn 0.696 0.696 0.696
Mn 0.125 0.199 0.449
Mn 0.375 0.801 0.949
Mn 0.875 0.699 0.051
Mn 0.199 0.449 0.125
Mn 0.801 0.949 0.375
Mn 0.051 0.875 0.699
Mn 0.449 0.125 0.199
Mn 0.301 0.551 0.625
Mn 0.949 0.375 0.801
Mn 0.551 0.625 0.301
Mn 0.699 0.051 0.875
Mn 0.625 0.301 0.551

Record 4
# Hf2FeTc

Crystalline Hf2FeTc at its relaxed geometry (r2SCAN, the Materials Project).

## Properties
For the total energy, the calculation gives -33.00 eV per atom. The space group is Fm-3m (225).

a = 4.502 Å, b = 4.502 Å, c = 4.502 Å
α = 60.00°, β = 60.00°, γ = 60.00°
Positions (direct):
Hf 0.000 0.000 0.000
Hf 0.500 0.500 0.500
Fe 0.250 0.250 0.250
Tc 0.750 0.750 0.750

Record 5
# Np2S3

Crystalline Np2S3 at its relaxed geometry (r2SCAN, the Materials Project).

## Properties
For the total energy, the calculation gives -40.19 eV per atom. The space group is Pnma (62).

a = 3.992 Å, b = 10.610 Å, c = 10.876 Å
α = 90.00°, β = 90.00°, γ = 90.00°
Positions (direct):
Np 0.250 0.313 0.993
Np 0.750 0.687 0.007
Np 0.750 0.813 0.507
Np 0.250 0.187 0.493
Np 0.250 0.505 0.309
Np 0.750 0.495 0.691
Np 0.750 0.005 0.191
Np 0.250 0.995 0.809
S 0.250 0.873 0.048
S 0.750 0.127 0.952
S 0.750 0.373 0.452
S 0.250 0.627 0.548
S 0.250 0.554 0.879
S 0.750 0.446 0.121
S 0.750 0.054 0.621
S 0.250 0.946 0.379
S 0.250 0.200 0.229
S 0.750 0.800 0.771
S 0.750 0.700 0.271
S 0.250 0.300 0.729

Record 6
# Nd3Al12Os4

Crystalline Nd3Al12Os4 at its relaxed geometry (r2SCAN, the Materials Project).

## Properties
For the total energy, the calculation gives -20.70 eV per atom. The space group is P6_3/mmc (194).

a = 8.860 Å, b = 8.860 Å, c = 9.654 Å
α = 90.00°, β = 90.00°, γ = 120.00°
Positions (direct):
Nd 0.193 0.386 0.250
Nd 0.807 0.614 0.750
Nd 0.614 0.807 0.250
Nd 0.386 0.193 0.750
Nd 0.193 0.807 0.250
Nd 0.807 0.193 0.750
Al 0.333 0.667 0.005
Al 0.667 0.333 0.995
Al 0.667 0.333 0.505
Al 0.333 0.667 0.495
Al 0.163 0.326 0.574
Al 0.837 0.674 0.426
Al 0.674 0.837 0.574
Al 0.837 0.674 0.074
Al 0.326 0.163 0.426
Al 0.163 0.326 0.926
Al 0.163 0.837 0.574
Al 0.326 0.163 0.074
Al 0.837 0.163 0.426
Al 0.674 0.837 0.926
Al 0.837 0.163 0.074
Al 0.163 0.837 0.926
Al 0.562 0.124 0.250
Al 0.438 0.876 0.750
Al 0.876 0.438 0.250
Al 0.124 0.562 0.750
Al 0.562 0.438 0.250
Al 0.438 0.562 0.750
Al 0.000 0.000 0.250
Al 0.000 0.000 0.750
Os 0.500 0.000 0.000
Os 0.000 0.500 0.000
Os 0.500 0.000 0.500
Os 0.500 0.500 0.000
Os 0.000 0.500 0.500
Os 0.500 0.500 0.500
Os 0.000 0.000 0.000
Os 0.000 0.000 0.500

Record 7
# SiO2

Crystalline SiO2 at its relaxed geometry (r2SCAN, the Materials Project).

## Properties
For the total energy, the calculation gives -9.92 eV per atom. The space group is Cmce (64).

a = 8.799 Å, b = 8.799 Å, c = 19.223 Å
α = 90.00°, β = 90.00°, γ = 117.30°
Positions (direct):
Si 0.317 0.033 0.322
Si 0.033 0.317 0.678
Si 0.467 0.183 0.178
Si 0.183 0.467 0.822
Si 0.683 0.967 0.678
Si 0.967 0.683 0.322
Si 0.533 0.817 0.822
Si 0.817 0.533 0.178
Si 0.175 0.168 0.082
Si 0.168 0.175 0.918
Si 0.332 0.325 0.418
Si 0.325 0.332 0.582
Si 0.825 0.832 0.918
Si 0.832 0.825 0.082
Si 0.668 0.675 0.582
Si 0.675 0.668 0.418
Si 0.173 0.482 0.320
Si 0.482 0.173 0.680
Si 0.018 0.327 0.180
Si 0.327 0.018 0.820
Si 0.827 0.518 0.680
Si 0.518 0.827 0.320
Si 0.982 0.673 0.820
Si 0.673 0.982 0.180
O 0.360 0.140 0.250
O 0.140 0.360 0.750
O 0.640 0.860 0.750
O 0.860 0.640 0.250
O 0.134 0.866 0.315
O 0.866 0.134 0.685
O 0.634 0.366 0.185
O 0.366 0.634 0.815
O 0.466 0.977 0.337
O 0.977 0.466 0.663
O 0.523 0.034 0.163
O 0.034 0.523 0.837
O 0.534 0.023 0.663
O 0.023 0.534 0.337
O 0.477 0.966 0.837
O 0.966 0.477 0.163
O 0.313 0.150 0.385
O 0.150 0.313 0.615
O 0.350 0.187 0.115
O 0.187 0.350 0.885
O 0.687 0.850 0.615
O 0.850 0.687 0.385
O 0.650 0.813 0.885
O 0.813 0.650 0.115
O 0.125 0.307 0.116
O 0.307 0.125 0.884
O 0.193 0.375 0.384
O 0.375 0.193 0.616
O 0.875 0.693 0.884
O 0.693 0.875 0.116
O 0.807 0.625 0.616
O 0.625 0.807 0.384
O 0.204 0.204 0.000
O 0.296 0.296 0.500
O 0.796 0.796 0.000
O 0.704 0.704 0.500
O 0.024 0.976 0.096
O 0.976 0.024 0.904
O 0.524 0.476 0.404
O 0.476 0.524 0.596
O 0.130 0.370 0.250
O 0.370 0.130 0.750
O 0.870 0.630 0.750
O 0.630 0.870 0.250
O 0.348 0.652 0.307
O 0.652 0.348 0.693
O 0.848 0.152 0.193
O 0.152 0.848 0.807

Record 8
# Te2Ir

Crystalline Te2Ir at its relaxed geometry (r2SCAN, the Materials Project).

## Properties
For the total energy, the calculation gives -34.76 eV per atom. The space group is Pnma (62).

a = 4.038 Å, b = 6.442 Å, c = 22.830 Å
α = 90.00°, β = 90.00°, γ = 90.00°
Positions (direct):
Te 0.750 0.689 0.240
Te 0.250 0.220 0.491
Te 0.750 0.422 0.137
Te 0.250 0.311 0.760
Te 0.750 0.078 0.637
Te 0.250 0.189 0.260
Te 0.250 0.922 0.363
Te 0.250 0.947 0.122
Te 0.250 0.553 0.622
Te 0.750 0.811 0.740
Te 0.750 0.720 0.009
Te 0.250 0.280 0.991
Te 0.750 0.780 0.509
Te 0.250 0.578 0.863
Te 0.750 0.053 0.878
Te 0.750 0.447 0.378
Ir 0.250 0.934 0.576
Ir 0.250 0.566 0.076
Ir 0.250 0.560 0.305
Ir 0.750 0.440 0.695
Ir 0.250 0.940 0.805
Ir 0.750 0.434 0.924
Ir 0.750 0.066 0.424
Ir 0.750 0.060 0.195

Record 9
# YZn3

Crystalline YZn3 at its relaxed geometry (r2SCAN, the Materials Project).

## Properties
For the total energy, the calculation gives -12.16 eV per atom. The space group is Pnma (62).

a = 4.350 Å, b = 6.609 Å, c = 10.044 Å
α = 90.00°, β = 90.00°, γ = 90.00°
Positions (direct):
Y 0.250 0.776 0.159
Y 0.750 0.224 0.841
Y 0.250 0.276 0.341
Y 0.750 0.724 0.659
Zn 0.250 0.039 0.609
Zn 0.750 0.961 0.391
Zn 0.250 0.539 0.891
Zn 0.750 0.461 0.109
Zn 0.750 0.773 0.954
Zn 0.250 0.227 0.046
Zn 0.750 0.273 0.546
Zn 0.250 0.727 0.454
Zn 0.750 0.081 0.144
Zn 0.250 0.919 0.856
Zn 0.750 0.581 0.356
Zn 0.250 0.419 0.644

Record 10
# PmTlAg2

Crystalline PmTlAg2 at its relaxed geometry (r2SCAN, the Materials Project).

## Properties
For the total energy, the calculation gives -31.65 eV per atom. The space group is Fm-3m (225).

a = 5.020 Å, b = 5.020 Å, c = 5.020 Å
α = 60.00°, β = 60.00°, γ = 60.00°
Positions (direct):
Pm 0.250 0.250 0.250
Tl 0.750 0.750 0.750
Ag 0.500 0.500 0.500
Ag 0.000 0.000 0.000

Record 11
# Sc2Te3

Crystalline Sc2Te3 at its relaxed geometry (r2SCAN, the Materials Project).

## Properties
For the total energy, the calculation gives -21.21 eV per atom. The space group is Immm (71).

a = 7.324 Å, b = 7.324 Å, c = 7.324 Å
α = 147.38°, β = 132.86°, γ = 58.50°
Positions (direct):
Sc 0.662 0.662 0.000
Sc 0.338 0.338 0.000
Te 0.500 0.000 0.500
Te 0.176 0.676 0.500
Te 0.824 0.324 0.500

Record 12
# SmFe2

Crystalline SmFe2 at its relaxed geometry (r2SCAN, the Materials Project).

## Properties
For the total energy, the calculation gives -19.41 eV per atom. The space group is Fd-3m (227).

a = 5.247 Å, b = 5.247 Å, c = 5.247 Å
α = 60.00°, β = 60.00°, γ = 60.00°
Positions (direct):
Sm 0.875 0.875 0.875
Sm 0.125 0.125 0.125
Fe 0.500 0.500 0.500
Fe 0.500 0.500 0.000
Fe 0.000 0.500 0.500
Fe 0.500 0.000 0.500

Record 13
# Fe2CuO4

Crystalline Fe2CuO4 at its relaxed geometry (r2SCAN, the Materials Project).

## Properties
For the total energy, the calculation gives -10.40 eV per atom. The space group is I4_1/amd (141).

a = 5.913 Å, b = 5.913 Å, c = 5.913 Å
α = 119.66°, β = 119.66°, γ = 90.58°
Positions (direct):
Fe 0.875 0.625 0.250
Fe 0.375 0.125 0.750
Fe 0.375 0.625 0.250
Fe 0.375 0.625 0.750
Cu 0.000 0.000 0.000
Cu 0.750 0.250 0.500
O 0.612 0.383 0.229
O 0.617 0.846 0.229
O 0.617 0.388 0.771
O 0.133 0.404 0.271
O 0.138 0.867 0.271
O 0.154 0.383 0.771
O 0.596 0.867 0.729
O 0.133 0.862 0.729

Record 14
# Ba2ScOsO6

Crystalline Ba2ScOsO6 at its relaxed geometry (r2SCAN, the Materials Project).

## Properties
For the total energy, the calculation gives -18.06 eV per atom. The space group is Fm-3m (225).

a = 5.797 Å, b = 5.797 Å, c = 5.797 Å
α = 60.00°, β = 60.00°, γ = 60.00°
Positions (direct):
Ba 0.250 0.250 0.250
Ba 0.750 0.750 0.750
Sc 0.500 0.500 0.500
Os 0.000 0.000 0.000
O 0.758 0.242 0.242
O 0.242 0.758 0.758
O 0.242 0.758 0.242
O 0.758 0.242 0.758
O 0.242 0.242 0.758
O 0.758 0.758 0.242

Record 15
# YLuCu2

Crystalline YLuCu2 at its relaxed geometry (r2SCAN, the Materials Project).

## Properties
For the total energy, the calculation gives -20.29 eV per atom. The space group is Fm-3m (225).

a = 4.822 Å, b = 4.822 Å, c = 4.822 Å
α = 60.00°, β = 60.00°, γ = 60.00°
Positions (direct):
Y 0.750 0.750 0.750
Lu 0.250 0.250 0.250
Cu 0.000 0.000 0.000
Cu 0.500 0.500 0.500

E_form values (in eV per atom) by entry order: -3.60 -0.80 0.04 -0.33 -2.16 -0.65 -3.02 -0.37 -0.40 -0.29 -1.40 0.11 -1.32 -2.73 -0.26.